Entry 1:
Ba: relaxed, PBE.

Cell: 3.954 3.954 3.954 Å, 90.00 90.00 90.00°
Fractional coordinates of all 1 atoms:
Ba  0.000  0.000  0.000

Calculated values
- magnetic moment (μB per atom) = 0.000
- formation enthalpy at 0 K (meV/atom) = 296
- distance to the lowest polymorph of the same formula (meV/atom) = 296
- VASP energy (eV per cell) = -1.623

---

Entry 2:
Ca21Mn4Bi18: relaxed, PBE.

Cell: 12.430 12.430 17.221 Å, 91.80 91.80 90.17°
Fractional coordinates of all 86 atoms:
Ca  0.013  0.184  0.065
Ca  0.019  0.258  0.433
Ca  0.072  0.928  0.750
Ca  0.077  0.311  0.878
Ca  0.079  0.590  0.760
Ca  0.092  0.268  0.656
Ca  0.184  0.013  0.565
Ca  0.185  0.439  0.118
Ca  0.234  0.502  0.562
Ca  0.236  0.751  0.421
Ca  0.244  0.421  0.341
Ca  0.249  0.764  0.079
Ca  0.258  0.019  0.933
Ca  0.268  0.092  0.156
Ca  0.311  0.077  0.378
Ca  0.323  0.505  0.927
Ca  0.410  0.921  0.740
Ca  0.421  0.244  0.841
Ca  0.439  0.185  0.618
Ca  0.495  0.677  0.573
Ca  0.498  0.766  0.938
Ca  0.502  0.234  0.062
Ca  0.505  0.323  0.427
Ca  0.561  0.815  0.382
Ca  0.579  0.756  0.159
Ca  0.590  0.079  0.260
Ca  0.677  0.495  0.073
Ca  0.689  0.923  0.622
Ca  0.732  0.908  0.844
Ca  0.742  0.981  0.067
Ca  0.751  0.236  0.921
Ca  0.756  0.579  0.659
Ca  0.764  0.249  0.579
Ca  0.766  0.498  0.438
Ca  0.815  0.561  0.882
Ca  0.816  0.987  0.435
Ca  0.908  0.732  0.344
Ca  0.921  0.410  0.240
Ca  0.923  0.689  0.122
Ca  0.928  0.072  0.250
Ca  0.981  0.742  0.567
Ca  0.987  0.816  0.935
Mn  0.140  0.860  0.250
Mn  0.342  0.658  0.750
Mn  0.346  0.654  0.250
Mn  0.499  0.501  0.750
Mn  0.501  0.499  0.250
Mn  0.654  0.346  0.750
Mn  0.658  0.342  0.250
Mn  0.860  0.140  0.750
Bi  0.040  0.540  0.420
Bi  0.052  0.933  0.105
Bi  0.067  0.948  0.395
Bi  0.079  0.580  0.963
Bi  0.110  0.244  0.247
Bi  0.118  0.630  0.241
Bi  0.228  0.754  0.625
Bi  0.244  0.110  0.747
Bi  0.246  0.772  0.875
Bi  0.257  0.261  0.500
Bi  0.261  0.257  0.000
Bi  0.279  0.428  0.746
Bi  0.370  0.882  0.259
Bi  0.420  0.566  0.099
Bi  0.420  0.921  0.537
Bi  0.428  0.279  0.246
Bi  0.434  0.580  0.401
Bi  0.460  0.960  0.080
Bi  0.540  0.040  0.920
Bi  0.566  0.420  0.599
Bi  0.572  0.721  0.754
Bi  0.580  0.079  0.463
Bi  0.580  0.434  0.901
Bi  0.630  0.118  0.741
Bi  0.721  0.572  0.254
Bi  0.739  0.743  0.000
Bi  0.743  0.739  0.500
Bi  0.754  0.228  0.125
Bi  0.756  0.890  0.253
Bi  0.772  0.246  0.375
Bi  0.882  0.370  0.759
Bi  0.890  0.756  0.753
Bi  0.921  0.420  0.037
Bi  0.933  0.052  0.605
Bi  0.948  0.067  0.895
Bi  0.960  0.460  0.580

Calculated values
- magnetic moment (μB per atom) = 0.429
- formation enthalpy at 0 K (meV/atom) = -701
- VASP energy (eV per cell) = -357.887

---

Entry 3:
Mg14AlZn: relaxed, PBE.

Cell: 10.285 6.238 6.238 Å, 60.53 90.00 90.00°
Fractional coordinates of all 16 atoms:
Mg  0.000  0.000  0.000
Mg  0.000  0.001  0.502
Mg  0.000  0.500  0.500
Mg  0.000  0.502  0.001
Mg  0.251  0.166  0.166
Mg  0.252  0.666  0.666
Mg  0.257  0.170  0.669
Mg  0.257  0.669  0.170
Mg  0.500  0.000  0.500
Mg  0.500  0.500  0.000
Mg  0.743  0.170  0.669
Mg  0.743  0.669  0.170
Mg  0.748  0.666  0.666
Mg  0.749  0.166  0.166
Al  0.500  0.002  0.002
Zn  0.500  0.501  0.501

Calculated values
- magnetic moment (μB per atom) = 0.000
- formation enthalpy at 0 K (meV/atom) = -1
- VASP energy (eV per cell) = -27.422

---

Entry 4:
LaCdAg2: relaxed, PBE.

Cell: 5.139 5.139 5.139 Å, 60.00 60.00 60.00°
Fractional coordinates of all 4 atoms:
La  0.000  0.000  0.000
Cd  0.500  0.500  0.500
Ag  0.250  0.250  0.250
Ag  0.750  0.750  0.750

Calculated values
- formation enthalpy at 0 K (meV/atom) = -286
- VASP energy (eV per cell) = -12.667

---

Entry 5:
RbNbGeO5: relaxed, PBE.

Cell: 7.586 10.595 20.988 Å, 90.00 90.00 90.00°
Fractional coordinates of all 96 atoms:
Rb  0.222  0.115  0.483
Rb  0.240  0.118  0.151
Rb  0.241  0.186  0.833
Rb  0.259  0.814  0.333
Rb  0.260  0.882  0.651
Rb  0.278  0.885  0.983
Rb  0.722  0.385  0.517
Rb  0.740  0.382  0.849
Rb  0.741  0.314  0.167
Rb  0.759  0.686  0.667
Rb  0.760  0.618  0.349
Rb  0.778  0.615  0.017
Nb  0.020  0.767  0.500
Nb  0.236  0.485  0.426
Nb  0.242  0.521  0.601
Nb  0.258  0.479  0.101
Nb  0.264  0.515  0.926
Nb  0.480  0.233  0.000
Nb  0.520  0.733  0.500
Nb  0.736  0.015  0.574
Nb  0.742  0.979  0.399
Nb  0.758  0.021  0.899
Nb  0.764  0.985  0.074
Nb  0.980  0.267  0.000
Ge  0.019  0.244  0.648
Ge  0.065  0.769  0.148
Ge  0.235  0.383  0.270
Ge  0.265  0.617  0.770
Ge  0.435  0.231  0.648
Ge  0.481  0.756  0.148
Ge  0.519  0.256  0.352
Ge  0.565  0.731  0.852
Ge  0.735  0.117  0.730
Ge  0.765  0.883  0.230
Ge  0.935  0.269  0.352
Ge  0.981  0.744  0.852
O  0.028  0.361  0.412
O  0.036  0.292  0.276
O  0.044  0.404  0.631
O  0.056  0.375  0.071
O  0.061  0.397  0.937
O  0.065  0.611  0.127
O  0.072  0.646  0.574
O  0.075  0.625  0.435
O  0.088  0.667  0.913
O  0.090  0.731  0.776
O  0.223  0.165  0.665
O  0.236  0.439  0.514
O  0.237  0.188  0.999
O  0.240  0.410  0.188
O  0.246  0.507  0.324
O  0.254  0.493  0.824
O  0.260  0.590  0.688
O  0.263  0.812  0.499
O  0.264  0.561  0.014
O  0.277  0.835  0.165
O  0.410  0.269  0.276
O  0.412  0.333  0.413
O  0.425  0.375  0.935
O  0.428  0.354  0.074
O  0.435  0.389  0.627
O  0.439  0.603  0.437
O  0.444  0.625  0.571
O  0.456  0.596  0.131
O  0.464  0.708  0.776
O  0.472  0.639  0.912
O  0.528  0.139  0.588
O  0.536  0.208  0.724
O  0.544  0.096  0.369
O  0.556  0.125  0.929
O  0.561  0.103  0.063
O  0.565  0.889  0.873
O  0.572  0.854  0.426
O  0.575  0.875  0.565
O  0.588  0.833  0.087
O  0.590  0.769  0.224
O  0.723  0.335  0.335
O  0.736  0.061  0.486
O  0.737  0.312  0.001
O  0.740  0.090  0.812
O  0.746  0.993  0.676
O  0.754  0.007  0.176
O  0.760  0.910  0.312
O  0.763  0.688  0.501
O  0.764  0.939  0.986
O  0.777  0.665  0.835
O  0.910  0.231  0.724
O  0.912  0.167  0.587
O  0.925  0.125  0.065
O  0.928  0.146  0.926
O  0.935  0.111  0.373
O  0.939  0.897  0.563
O  0.944  0.875  0.429
O  0.956  0.904  0.869
O  0.964  0.792  0.224
O  0.972  0.861  0.088

Calculated values
- magnetic moment (μB per atom) = 0.000
- formation enthalpy at 0 K (meV/atom) = -2595
- VASP energy (eV per cell) = -693.193

---

Entry 6:
BiNF4: relaxed, PBE.

Cell: 8.528 7.256 6.605 Å, 90.00 92.05 90.00°
Fractional coordinates of all 24 atoms:
Bi  0.110  0.158  0.255
Bi  0.110  0.342  0.755
Bi  0.890  0.658  0.245
Bi  0.890  0.842  0.745
N  0.396  0.685  0.292
N  0.396  0.815  0.792
N  0.604  0.185  0.208
N  0.604  0.315  0.708
F  0.057  0.678  0.546
F  0.057  0.822  0.046
F  0.101  0.051  0.647
F  0.101  0.449  0.147
F  0.272  0.194  0.982
F  0.272  0.306  0.482
F  0.379  0.636  0.837
F  0.379  0.864  0.337
F  0.621  0.136  0.663
F  0.621  0.364  0.163
F  0.728  0.694  0.518
F  0.728  0.806  0.018
F  0.899  0.551  0.853
F  0.899  0.949  0.353
F  0.943  0.178  0.954
F  0.943  0.322  0.454

Calculated values
- magnetic moment (μB per atom) = 0.333
- formation enthalpy at 0 K (meV/atom) = -1482
- VASP energy (eV per cell) = -107.713